# GdErRh2

A relaxed GdErRh2 crystal (PBE-GGA, the Materials Project).

a b c (Å): 4.8630 4.8630 4.8630
angles (deg): 60.00 60.00 60.00
Last column: nearest neighbours and their distance in Å.
Fractional coordinates of all 4 atoms:
1 Gd 0.0000 0.0000 0.0000  8 Rh 2.98
2 Er 0.5000 0.5000 0.5000  8 Rh 2.98
3 Rh 0.2500 0.2500 0.2500  4 Er 2.98, 4 Gd 2.98
4 Rh 0.7500 0.7500 0.7500  4 Gd 2.98, 4 Er 2.98

* energy: -9.18 eV per atom
* magnetic moment: 7.03 μB per formula unit